Entry A
# Ac, relaxed, DFT GGA-PBE
# - SG: No. 166
data_Ac
_cell_length_a 9.936
_cell_length_b 9.936
_cell_length_c 9.936
_cell_angle_alpha 23.30
_cell_angle_beta 23.30
_cell_angle_gamma 23.30
_symmetry_space_group_name_H-M 'P 1'
_symmetry_Int_Tables_number 1
loop_
_symmetry_equiv_pos_as_xyz
'x,y,z'
loop_
_atom_site_label
_atom_site_fract_x
_atom_site_fract_y
_atom_site_fract_z
Ac1 0.000 0.000 0.000
Ac2 0.223 0.223 0.223
Ac3 0.777 0.777 0.777

Entry B
# Ac, relaxed, DFT GGA-PBE
# - Magnetization: 0.01 μB/f.u.
# - SG: No. 152
data_Ac
_cell_length_a 4.003
_cell_length_b 4.003
_cell_length_c 9.804
_cell_angle_alpha 90.00
_cell_angle_beta 90.00
_cell_angle_gamma 120.00
_symmetry_space_group_name_H-M 'P 1'
_symmetry_Int_Tables_number 1
loop_
_symmetry_equiv_pos_as_xyz
'x,y,z'
loop_
_atom_site_label
_atom_site_fract_x
_atom_site_fract_y
_atom_site_fract_z
Ac1 0.000 0.345 0.667
Ac2 0.655 0.655 0.000
Ac3 0.345 0.000 0.333

Pick entry B: it beats the second-best structure by 2.8 kJ/mol of atoms.